# 1
Compound: LiPaRu2
Source: Materials Project
Functional: PBE
Structure: relaxed

abc: 4.536 4.536 4.536
angles: 60.00 60.00 60.00
Sites, in units of the cell vectors:
Li (0.000, 0.000, 0.000)
Pa (0.500, 0.500, 0.500)
Ru (0.250, 0.250, 0.250)
Ru (0.750, 0.750, 0.750)

Properties
The calculation puts the formation energy at -0.338 eV/atom.

=====

# 2
Compound: Li10Pb3
Source: Materials Project
Functional: PBE
Structure: relaxed

abc: 10.110 10.110 10.110
angles: 90.00 90.00 90.00
Sites, in units of the cell vectors:
Li (0.000, 0.000, 0.349)
Li (0.000, 0.000, 0.651)
Li (0.000, 0.349, 0.000)
Li (0.000, 0.651, 0.000)
Li (0.111, 0.111, 0.111)
Li (0.111, 0.889, 0.889)
Li (0.141, 0.500, 0.500)
Li (0.181, 0.181, 0.819)
Li (0.181, 0.819, 0.181)
Li (0.190, 0.190, 0.531)
Li (0.190, 0.469, 0.810)
Li (0.190, 0.531, 0.190)
Li (0.190, 0.810, 0.469)
Li (0.318, 0.318, 0.318)
Li (0.318, 0.682, 0.682)
Li (0.349, 0.000, 0.000)
Li (0.395, 0.395, 0.605)
Li (0.395, 0.605, 0.395)
Li (0.469, 0.190, 0.810)
Li (0.469, 0.810, 0.190)
Li (0.500, 0.141, 0.500)
Li (0.500, 0.500, 0.141)
Li (0.500, 0.500, 0.859)
Li (0.500, 0.859, 0.500)
Li (0.531, 0.190, 0.190)
Li (0.531, 0.810, 0.810)
Li (0.605, 0.395, 0.395)
Li (0.605, 0.605, 0.605)
Li (0.651, 0.000, 0.000)
Li (0.682, 0.318, 0.682)
Li (0.682, 0.682, 0.318)
Li (0.810, 0.190, 0.469)
Li (0.810, 0.469, 0.190)
Li (0.810, 0.531, 0.810)
Li (0.810, 0.810, 0.531)
Li (0.819, 0.181, 0.181)
Li (0.819, 0.819, 0.819)
Li (0.859, 0.500, 0.500)
Li (0.889, 0.111, 0.889)
Li (0.889, 0.889, 0.111)
Pb (0.033, 0.313, 0.313)
Pb (0.033, 0.687, 0.687)
Pb (0.313, 0.033, 0.313)
Pb (0.313, 0.313, 0.033)
Pb (0.313, 0.687, 0.967)
Pb (0.313, 0.967, 0.687)
Pb (0.687, 0.033, 0.687)
Pb (0.687, 0.313, 0.967)
Pb (0.687, 0.687, 0.033)
Pb (0.687, 0.967, 0.313)
Pb (0.967, 0.313, 0.687)
Pb (0.967, 0.687, 0.313)

Properties
The calculation puts the formation energy at -0.221 eV/atom. The total magnetization comes out at 0.00 μB/f.u.

=====

# 3
Compound: Li7Pb2
Source: Materials Project
Functional: PBE
Structure: relaxed

abc: 4.752 4.752 8.592
angles: 90.00 90.00 120.00
Sites, in units of the cell vectors:
Li (0.000, 0.000, 0.000)
Li (0.000, 0.000, 0.324)
Li (0.000, 0.000, 0.676)
Li (0.333, 0.667, 0.577)
Li (0.333, 0.667, 0.898)
Li (0.667, 0.333, 0.102)
Li (0.667, 0.333, 0.423)
Pb (0.333, 0.667, 0.237)
Pb (0.667, 0.333, 0.763)

Properties
The calculation puts the formation energy at -0.318 eV/atom.

=====

What is the formula in the second record?
Li10Pb3